The following is a DFT calculation (GGA-PBE) of a geometry-optimized La3NdCu2O8 structure.

Cell and atoms, written as CIF:
```
data_La3NdCu2O8
_cell_length_a 4.004
_cell_length_b 4.004
_cell_length_c 12.619
_cell_angle_alpha 90.00
_cell_angle_beta 90.00
_cell_angle_gamma 90.00
_symmetry_space_group_name_H-M 'P 4 m m'
_symmetry_Int_Tables_number 99
_symmetry_space_group_name_Hall 'P 4 -2'
loop_
_atom_site_label
_atom_site_type_symbol
_atom_site_fract_x
_atom_site_fract_y
_atom_site_fract_z
La1 La 0.000 0.000 0.000
La2 La 0.000 0.000 0.300
La3 La 0.500 0.500 0.502
Nd1 Nd 0.500 0.500 0.801
Cu1 Cu 0.000 0.000 0.652
Cu2 Cu 0.500 0.500 0.151
O1 O 0.000 0.500 0.150
O2 O 0.000 0.500 0.401
O3 O 0.000 0.500 0.653
O4 O 0.000 0.500 0.899
```

Polymorph energy (0 for the lowest one) = 0.0 meV per atom
Calculated total energy = -7.476 eV/atom